Entry 1:
Na3FeO4: relaxed, meta-GGA r2SCAN.

a b c (Å): 5.146 10.692 6.324
angles (deg): 90.00 90.00 82.84
Fractional coordinates of all 32 atoms:
Na: 0.750 0.000 0.381
Na: 0.250 0.500 0.381
Na: 0.250 0.000 0.619
Na: 0.750 0.500 0.619
Na: 0.500 0.250 0.115
Na: 0.000 0.750 0.115
Na: 0.000 0.250 0.885
Na: 0.500 0.750 0.885
Na: 0.500 0.250 0.625
Na: 0.000 0.750 0.625
Na: 0.000 0.250 0.375
Na: 0.500 0.750 0.375
Fe: 0.250 0.500 0.873
Fe: 0.250 0.000 0.127
Fe: 0.750 0.000 0.873
Fe: 0.750 0.500 0.127
O: 0.842 0.108 0.679
O: 0.342 0.608 0.679
O: 0.342 0.108 0.321
O: 0.842 0.608 0.321
O: 0.158 0.392 0.679
O: 0.658 0.892 0.679
O: 0.658 0.392 0.321
O: 0.158 0.892 0.321
O: 0.413 0.094 0.903
O: 0.913 0.594 0.903
O: 0.913 0.094 0.097
O: 0.413 0.594 0.097
O: 0.087 0.406 0.097
O: 0.587 0.906 0.097
O: 0.587 0.406 0.903
O: 0.087 0.906 0.903

---

Entry 2:
Na3FeO3: relaxed, meta-GGA r2SCAN.

Output
**E above lowest polymorph**: 0 meV per atom

a b c (Å): 5.723 12.527 6.193
angles (deg): 90.00 122.15 90.00
Fractional coordinates of all 28 atoms:
Na: 0.039 0.015 0.281
Na: 0.039 0.485 0.781
Na: 0.053 0.222 0.696
Na: 0.053 0.278 0.196
Na: 0.432 0.097 0.141
Na: 0.432 0.403 0.641
Na: 0.568 0.597 0.359
Na: 0.568 0.903 0.859
Na: 0.947 0.722 0.804
Na: 0.947 0.778 0.304
Na: 0.961 0.515 0.219
Na: 0.961 0.985 0.719
Fe: 0.418 0.664 0.742
Fe: 0.418 0.836 0.242
Fe: 0.582 0.164 0.758
Fe: 0.582 0.336 0.258
O: 0.049 0.627 0.546
O: 0.049 0.873 0.046
O: 0.319 0.062 0.700
O: 0.319 0.438 0.200
O: 0.472 0.728 0.048
O: 0.472 0.772 0.548
O: 0.528 0.228 0.452
O: 0.528 0.272 0.952
O: 0.681 0.562 0.800
O: 0.681 0.938 0.300
O: 0.951 0.127 0.954
O: 0.951 0.373 0.454

---

Entry 3:
Na8FeO6: relaxed, meta-GGA r2SCAN.

a b c (Å): 6.214 6.214 12.536
angles (deg): 92.07 92.07 60.94
Fractional coordinates of all 30 atoms:
Na: 0.006 0.994 0.500
Na: 0.034 0.341 0.146
Na: 0.044 0.620 0.640
Na: 0.323 0.635 0.139
Na: 0.335 0.950 0.288
Na: 0.341 0.034 0.646
Na: 0.342 0.721 0.787
Na: 0.620 0.044 0.140
Na: 0.635 0.323 0.639
Na: 0.661 0.667 0.500
Na: 0.667 0.661 0.000
Na: 0.721 0.342 0.287
Na: 0.733 0.943 0.787
Na: 0.943 0.733 0.287
Na: 0.950 0.335 0.788
Na: 0.994 0.006 0.000
Fe: 0.333 0.338 0.416
Fe: 0.338 0.333 0.916
O: 0.007 0.996 0.689
O: 0.048 0.597 0.455
O: 0.071 0.335 0.967
O: 0.310 0.624 0.955
O: 0.330 0.355 0.268
O: 0.335 0.071 0.467
O: 0.355 0.330 0.768
O: 0.597 0.048 0.955
O: 0.624 0.310 0.455
O: 0.660 0.673 0.189
O: 0.673 0.660 0.689
O: 0.996 0.007 0.189

---

Entry 4:
Na8Fe2O7: relaxed, meta-GGA r2SCAN.

a b c (Å): 8.636 10.878 9.988
angles (deg): 90.00 107.67 90.00
Fractional coordinates of all 68 atoms:
Na: 0.002 0.232 0.372
Na: 0.002 0.268 0.872
Na: 0.066 0.525 0.644
Na: 0.066 0.975 0.144
Na: 0.161 0.005 0.486
Na: 0.161 0.495 0.986
Na: 0.213 0.750 0.430
Na: 0.213 0.750 0.930
Na: 0.242 0.052 0.790
Na: 0.242 0.448 0.290
Na: 0.384 0.525 0.581
Na: 0.384 0.975 0.081
Na: 0.395 0.241 0.467
Na: 0.395 0.259 0.967
Na: 0.412 0.537 0.856
Na: 0.412 0.963 0.356
Na: 0.588 0.037 0.644
Na: 0.588 0.463 0.144
Na: 0.605 0.741 0.033
Na: 0.605 0.759 0.533
Na: 0.616 0.025 0.919
Na: 0.616 0.475 0.419
Na: 0.758 0.552 0.710
Na: 0.758 0.948 0.210
Na: 0.787 0.250 0.070
Na: 0.787 0.250 0.570
Na: 0.839 0.505 0.014
Na: 0.839 0.995 0.514
Na: 0.934 0.025 0.856
Na: 0.934 0.475 0.356
Na: 0.998 0.732 0.128
Na: 0.998 0.768 0.628
Fe: 0.193 0.218 0.154
Fe: 0.193 0.282 0.654
Fe: 0.407 0.705 0.226
Fe: 0.407 0.795 0.726
Fe: 0.593 0.205 0.274
Fe: 0.593 0.295 0.774
Fe: 0.807 0.718 0.346
Fe: 0.807 0.782 0.846
O: 0.041 0.150 0.607
O: 0.041 0.350 0.107
O: 0.173 0.115 0.996
O: 0.173 0.385 0.496
O: 0.181 0.119 0.303
O: 0.181 0.381 0.803
O: 0.246 0.674 0.683
O: 0.246 0.826 0.183
O: 0.394 0.611 0.066
O: 0.394 0.889 0.566
O: 0.398 0.198 0.717
O: 0.398 0.302 0.217
O: 0.398 0.612 0.382
O: 0.398 0.888 0.882
O: 0.602 0.112 0.118
O: 0.602 0.388 0.618
O: 0.602 0.698 0.783
O: 0.602 0.802 0.283
O: 0.606 0.111 0.434
O: 0.606 0.389 0.934
O: 0.754 0.174 0.817
O: 0.754 0.326 0.317
O: 0.819 0.619 0.197
O: 0.819 0.881 0.697
O: 0.827 0.615 0.504
O: 0.827 0.885 0.004
O: 0.959 0.650 0.893
O: 0.959 0.850 0.393

---

Entry 5:
Na3Fe5O9: relaxed, meta-GGA r2SCAN.

a b c (Å): 8.998 8.998 5.252
angles (deg): 90.62 90.62 83.80
Fractional coordinates of all 34 atoms:
Na: 0.094 0.906 0.750
Na: 0.184 0.341 0.227
Na: 0.341 0.184 0.727
Na: 0.659 0.816 0.273
Na: 0.816 0.659 0.773
Na: 0.906 0.094 0.250
Fe: 0.064 0.704 0.218
Fe: 0.198 0.520 0.716
Fe: 0.296 0.936 0.282
Fe: 0.438 0.562 0.250
Fe: 0.480 0.802 0.784
Fe: 0.520 0.198 0.216
Fe: 0.562 0.438 0.750
Fe: 0.704 0.064 0.718
Fe: 0.802 0.480 0.284
Fe: 0.936 0.296 0.782
O: 0.067 0.662 0.874
O: 0.093 0.907 0.250
O: 0.120 0.338 0.671
O: 0.224 0.587 0.385
O: 0.338 0.120 0.171
O: 0.338 0.933 0.626
O: 0.364 0.471 0.925
O: 0.413 0.776 0.115
O: 0.471 0.364 0.425
O: 0.529 0.636 0.575
O: 0.587 0.224 0.885
O: 0.636 0.529 0.075
O: 0.662 0.067 0.374
O: 0.662 0.880 0.829
O: 0.776 0.413 0.615
O: 0.880 0.662 0.329
O: 0.907 0.093 0.750
O: 0.933 0.338 0.126

---

Entry 6:
Na4FeO3: relaxed, meta-GGA r2SCAN.

a b c (Å): 6.130 6.130 8.181
angles (deg): 111.03 111.03 55.89
Fractional coordinates of all 16 atoms:
Na: 0.063 0.394 0.418
Na: 0.156 0.844 0.500
Na: 0.216 0.635 0.818
Na: 0.394 0.063 0.918
Na: 0.635 0.216 0.318
Na: 0.663 0.984 0.599
Na: 0.844 0.156 0.000
Na: 0.984 0.663 0.099
Fe: 0.448 0.746 0.214
Fe: 0.746 0.448 0.714
O: 0.000 0.105 0.762
O: 0.105 0.000 0.262
O: 0.432 0.434 0.577
O: 0.434 0.432 0.077
O: 0.756 0.777 0.312
O: 0.777 0.756 0.812

---

Entry 7:
Na5FeO4: relaxed, meta-GGA r2SCAN.

a b c (Å): 10.147 10.541 10.411
angles (deg): 90.00 90.00 90.00
Fractional coordinates of all 80 atoms:
Na: 0.085 0.145 0.121
Na: 0.085 0.355 0.621
Na: 0.102 0.663 0.879
Na: 0.102 0.837 0.379
Na: 0.139 0.616 0.152
Na: 0.139 0.884 0.652
Na: 0.145 0.100 0.382
Na: 0.145 0.400 0.882
Na: 0.167 0.614 0.606
Na: 0.167 0.886 0.106
Na: 0.333 0.114 0.606
Na: 0.333 0.386 0.106
Na: 0.355 0.600 0.382
Na: 0.355 0.900 0.882
Na: 0.361 0.116 0.152
Na: 0.361 0.384 0.652
Na: 0.398 0.163 0.879
Na: 0.398 0.337 0.379
Na: 0.415 0.645 0.121
Na: 0.415 0.855 0.621
Na: 0.585 0.145 0.379
Na: 0.585 0.355 0.879
Na: 0.602 0.663 0.621
Na: 0.602 0.837 0.121
Na: 0.639 0.616 0.348
Na: 0.639 0.884 0.848
Na: 0.645 0.100 0.118
Na: 0.645 0.400 0.618
Na: 0.667 0.614 0.894
Na: 0.667 0.886 0.394
Na: 0.833 0.114 0.894
Na: 0.833 0.386 0.394
Na: 0.855 0.600 0.118
Na: 0.855 0.900 0.618
Na: 0.861 0.116 0.348
Na: 0.861 0.384 0.848
Na: 0.898 0.163 0.621
Na: 0.898 0.337 0.121
Na: 0.915 0.645 0.379
Na: 0.915 0.855 0.879
Fe: 0.114 0.129 0.852
Fe: 0.114 0.371 0.352
Fe: 0.386 0.629 0.852
Fe: 0.386 0.871 0.352
Fe: 0.614 0.129 0.648
Fe: 0.614 0.371 0.148
Fe: 0.886 0.629 0.648
Fe: 0.886 0.871 0.148
O: 0.000 0.020 0.758
O: 0.000 0.480 0.258
O: 0.000 0.520 0.742
O: 0.000 0.980 0.242
O: 0.003 0.243 0.948
O: 0.003 0.257 0.448
O: 0.223 0.238 0.753
O: 0.223 0.262 0.253
O: 0.228 0.050 0.975
O: 0.228 0.450 0.475
O: 0.272 0.550 0.975
O: 0.272 0.950 0.475
O: 0.277 0.738 0.753
O: 0.277 0.762 0.253
O: 0.497 0.743 0.948
O: 0.497 0.757 0.448
O: 0.500 0.020 0.742
O: 0.500 0.480 0.242
O: 0.500 0.520 0.758
O: 0.500 0.980 0.258
O: 0.503 0.243 0.552
O: 0.503 0.257 0.052
O: 0.723 0.238 0.747
O: 0.723 0.262 0.247
O: 0.728 0.050 0.525
O: 0.728 0.450 0.025
O: 0.772 0.550 0.525
O: 0.772 0.950 0.025
O: 0.777 0.738 0.747
O: 0.777 0.762 0.247
O: 0.997 0.743 0.552
O: 0.997 0.757 0.052

---

Entry 8:
Na2TiFeP3O12: relaxed, meta-GGA r2SCAN.

a b c (Å): 8.650 8.650 8.738
angles (deg): 119.78 119.78 60.11
Fractional coordinates of all 38 atoms:
Na: 0.183 0.183 0.491
Na: 0.438 0.082 0.250
Na: 0.817 0.817 0.509
Na: 0.918 0.562 0.750
Ti: 0.077 0.706 0.178
Ti: 0.294 0.923 0.822
Fe: 0.580 0.220 0.694
Fe: 0.780 0.420 0.306
P: 0.188 0.525 0.499
P: 0.385 0.316 0.987
P: 0.475 0.812 0.501
P: 0.684 0.615 0.013
P: 0.894 0.106 0.500
P: 0.975 0.025 0.000
O: 0.001 0.842 0.014
O: 0.021 0.508 0.502
O: 0.065 0.067 0.672
O: 0.135 0.563 0.323
O: 0.158 0.999 0.986
O: 0.203 0.486 0.005
O: 0.232 0.696 0.670
O: 0.304 0.768 0.330
O: 0.354 0.341 0.502
O: 0.366 0.150 0.990
O: 0.398 0.270 0.800
O: 0.437 0.865 0.677
O: 0.492 0.979 0.498
O: 0.514 0.797 0.995
O: 0.557 0.358 0.151
O: 0.642 0.443 0.849
O: 0.659 0.646 0.498
O: 0.715 0.121 0.507
O: 0.730 0.602 0.200
O: 0.808 0.049 0.823
O: 0.850 0.634 0.010
O: 0.879 0.285 0.493
O: 0.933 0.935 0.328
O: 0.951 0.192 0.177

---

Entry 9:
Na3FeSe3: relaxed, meta-GGA r2SCAN.

a b c (Å): 7.363 7.137 14.756
angles (deg): 90.00 118.88 90.00
Fractional coordinates of all 28 atoms:
Na: 0.005 0.002 0.277
Na: 0.005 0.498 0.777
Na: 0.374 0.019 0.593
Na: 0.374 0.481 0.093
Na: 0.451 0.518 0.614
Na: 0.451 0.982 0.114
Na: 0.549 0.018 0.886
Na: 0.549 0.482 0.386
Na: 0.626 0.519 0.907
Na: 0.626 0.981 0.407
Na: 0.995 0.502 0.223
Na: 0.995 0.998 0.723
Fe: 0.001 0.621 0.425
Fe: 0.001 0.879 0.925
Fe: 0.999 0.121 0.075
Fe: 0.999 0.379 0.575
Se: 0.011 0.215 0.924
Se: 0.011 0.285 0.424
Se: 0.300 0.217 0.227
Se: 0.300 0.283 0.727
Se: 0.300 0.744 0.427
Se: 0.300 0.756 0.927
Se: 0.700 0.244 0.073
Se: 0.700 0.256 0.573
Se: 0.700 0.717 0.273
Se: 0.700 0.783 0.773
Se: 0.989 0.715 0.576
Se: 0.989 0.785 0.076

---

Entry 10:
NbFe2: relaxed, meta-GGA r2SCAN.

a b c (Å): 4.886 4.886 4.886
angles (deg): 60.00 60.00 60.00
Fractional coordinates of all 6 atoms:
Nb: 0.125 0.125 0.125
Nb: 0.875 0.875 0.875
Fe: 0.000 0.500 0.500
Fe: 0.500 0.000 0.500
Fe: 0.500 0.500 0.000
Fe: 0.500 0.500 0.500

---

| no. | ΔH_f (0 K) (eV per atom) | M_tot (Bohr magnetons per cell) |
| --- | --- | --- |
| 1 | -1.625 | 12.00 |
| 2 | -1.671 | 20.00 |
| 3 | -1.513 | 8.00 |
| 4 | -1.651 | 0.00 |
| 5 | -1.772 | 10.00 |
| 6 | -1.509 | 8.00 |
| 7 | -1.609 | 40.00 |
| 8 | -2.531 | 10.00 |
| 9 | -0.992 | 16.01 |
| 10 | -0.006 | 9.00 |